Record 1
! PBE AgWC9S4N3, relaxed; values from VASP
! SG: P2_1, No. 4
! Total magnetization in μB per formula unit: 1.3
! Calculated density in g cm⁻³: 1.966
! Energy above the lowest structure with this stoichiometry in eV/atom: 0.4528
! E_form in eV per atom: 1.198
&SYSTEM
  ibrav = 0, nat = 36, ntyp = 5
/
ATOMIC_SPECIES
C 12.01 C.upf
N 14.01 N.upf
S 32.06 S.upf
W 183.84 W.upf
Ag 107.87 Ag.upf
CELL_PARAMETERS angstrom
-6.2894 -3.4127 -1.3911
2.8936 -3.4221 -4.6870
5.5000 -15.2160 12.4626
ATOMIC_POSITIONS crystal
C 0.0341 0.1595 0.1582
C 0.7111 0.0276 0.3466
C 0.6668 0.1226 0.4528
C 0.0889 0.9922 0.5993
C 0.1326 0.9839 0.9395
C 0.1668 0.8774 0.5472
C 0.8919 0.9437 0.3721
C 0.2120 0.3443 0.4047
C 0.8924 0.1755 0.1244
C 0.5889 0.0078 0.4007
C 0.6326 0.0161 0.0605
C 0.2111 0.9724 0.6534
C 0.0669 0.7808 0.9260
C 0.5341 0.8405 0.8418
C 0.3919 0.0563 0.6279
C 0.7120 0.6557 0.5953
C 0.5669 0.2192 0.0740
C 0.3924 0.8245 0.8756
N 0.2392 0.8474 0.9058
N 0.2000 0.2608 0.4575
N 0.8143 0.0370 0.4219
N 0.7000 0.7392 0.5425
N 0.7392 0.1526 0.0942
N 0.3143 0.9630 0.5781
S 0.2237 0.1285 0.2009
S 0.4656 0.3769 0.7635
S 0.7237 0.8715 0.7991
S 0.9671 0.3499 0.7592
S 0.7292 0.3130 0.9100
S 0.4671 0.6501 0.2408
S 0.2292 0.6870 0.0900
S 0.9656 0.6231 0.2365
W 0.7156 0.2389 0.8095
W 0.2156 0.7611 0.1905
Ag 0.7146 0.4937 0.6860
Ag 0.2146 0.5063 0.3140

=====

Record 2
! PBE NaAgC2O4, relaxed; values from VASP
! SG: P2_1, No. 4
! Total magnetization in μB per formula unit: 0.0
! Calculated density in g cm⁻³: 3.546
! E_form in eV per atom: -1.474
&SYSTEM
  ibrav = 0, nat = 16, ntyp = 4
/
ATOMIC_SPECIES
Ag 107.87 Ag.upf
O 16.00 O.upf
C 12.01 C.upf
Na 22.99 Na.upf
CELL_PARAMETERS angstrom
-0.7409 -1.9992 4.7125
-2.2947 -2.4460 -1.3984
7.9443 -7.2691 -1.8348
ATOMIC_POSITIONS crystal
Ag 0.0511 0.3964 0.4197
Ag 0.5511 0.6036 0.5803
O 0.7263 0.7268 0.8110
O 0.4219 0.9561 0.4036
O 0.2589 0.2555 0.7046
O 0.9219 0.0439 0.5964
O 0.2263 0.2732 0.1890
O 0.6043 0.1577 0.0945
O 0.7589 0.7445 0.2954
O 0.1043 0.8423 0.9055
C 0.5538 0.9298 0.3057
C 0.9520 0.8592 0.8140
C 0.4520 0.1408 0.1860
C 0.0538 0.0702 0.6943
Na 0.4317 0.3044 0.8991
Na 0.9317 0.6956 0.1009

=====

Record 3
! PBE NaAgC2O4, relaxed; values from VASP
! SG: P-1, No. 2
! Total magnetization in μB per formula unit: 0.0
! Calculated density in g cm⁻³: 3.494
! E_form in eV per atom: -1.474
&SYSTEM
  ibrav = 0, nat = 16, ntyp = 4
/
ATOMIC_SPECIES
O 16.00 O.upf
C 12.01 C.upf
Ag 107.87 Ag.upf
Na 22.99 Na.upf
CELL_PARAMETERS angstrom
3.5521 0.0000 0.0000
0.1518 5.3112 0.0000
1.0318 0.2878 11.0269
ATOMIC_POSITIONS crystal
O 0.7133 0.7660 0.5415
O 0.7640 0.7306 0.0632
O 0.2867 0.2340 0.4585
O 0.0897 0.5547 0.3406
O 0.9103 0.4453 0.6594
O 0.2360 0.2694 0.9368
O 0.1697 0.8884 0.8558
O 0.8303 0.1116 0.1442
C 0.1071 0.4399 0.4422
C 0.8822 0.9531 0.0597
C 0.1178 0.0469 0.9403
C 0.8929 0.5601 0.5578
Ag 0.6596 0.9306 0.3372
Ag 0.3404 0.0694 0.6628
Na 0.2821 0.4370 0.1440
Na 0.7179 0.5630 0.8560

=====

Which formula does entry 2 have? NaAgC2O4